Zr2PS2 | PBE-GGA | optimized geometry

Total energy: -29.37 eV per cell
Total magnetization: 0.00 μB per cell

The structure in POSCAR format:
```
Zr2PS2
1.0
-1.2928 -0.4994 2.5125
2.5610 -0.1856 1.2808
-0.3068 14.3177 2.6880
S P Zr
2 1 2
Direct
0.5000 0.5000 0.3468 S
0.5000 0.5000 0.6532 S
0.5000 0.5000 0.0000 P
0.5000 0.5000 0.8219 Zr
0.5000 0.5000 0.1781 Zr
```